A plane-wave DFT calculation with r2SCAN was carried out for a geometry-optimized Nb3S4 structure.

Cell: 3.316 3.316 13.084 Å, 90.00 90.00 120.00°
Fractional positions:
1 Nb 0.000 0.000 0.000
2 Nb 0.000 0.000 0.255
3 Nb 0.000 0.000 0.745
4 S 0.333 0.667 0.625
5 S 0.333 0.667 0.871
6 S 0.667 0.333 0.129
7 S 0.667 0.333 0.375

SG: P-3m1
Calculated formation energy in eV per atom: -1.1612
Excess energy over the best structure of this formula in the dataset in eV/atom: 0.077
M_tot in μB/f.u.: 0.00